[1]
# Y4Sb3

Y4Sb3 after structural relaxation (PBE-GGA, the Materials Project).

Cell: 7.993 7.993 7.993 Å, 109.47 109.47 109.47°
Sites, in units of the cell vectors:
Y 0.000 0.355 0.500
Y 0.000 0.855 0.500
Y 0.145 0.145 0.145
Y 0.355 0.500 0.000
Y 0.500 0.000 0.355
Y 0.500 0.000 0.855
Y 0.645 0.645 0.645
Y 0.855 0.500 0.000
Sb 0.125 0.750 0.875
Sb 0.250 0.625 0.375
Sb 0.375 0.250 0.625
Sb 0.625 0.375 0.250
Sb 0.750 0.875 0.125
Sb 0.875 0.125 0.750

## Properties
space-group type	No. 220
calculated total energy	-6.490	eV per atom


[2]
# SiO2

SiO2 after structural relaxation (PBE-GGA, the Materials Project).

Cell: 13.858 24.315 18.380 Å, 90.00 90.00 90.00°
Sites, in units of the cell vectors:
Si 0.617 0.471 0.423
Si 0.117 0.971 0.423
Si 0.389 0.471 0.423
Si 0.889 0.971 0.423
Si 0.617 0.029 0.923
Si 0.117 0.529 0.923
Si 0.389 0.029 0.923
Si 0.889 0.529 0.923
Si 0.389 0.529 0.577
Si 0.889 0.029 0.577
Si 0.617 0.529 0.577
Si 0.117 0.029 0.577
Si 0.389 0.971 0.077
Si 0.889 0.471 0.077
Si 0.617 0.971 0.077
Si 0.117 0.471 0.077
Si 0.684 0.565 0.316
Si 0.184 0.065 0.316
Si 0.322 0.565 0.316
Si 0.822 0.065 0.316
Si 0.684 0.935 0.816
Si 0.184 0.435 0.816
Si 0.322 0.935 0.816
Si 0.822 0.435 0.816
Si 0.322 0.435 0.684
Si 0.822 0.935 0.684
Si 0.684 0.435 0.684
Si 0.184 0.935 0.684
Si 0.322 0.065 0.184
Si 0.822 0.565 0.184
Si 0.684 0.065 0.184
Si 0.184 0.565 0.184
Si 0.793 0.654 0.415
Si 0.293 0.154 0.415
Si 0.212 0.654 0.415
Si 0.712 0.154 0.415
Si 0.793 0.846 0.915
Si 0.293 0.346 0.915
Si 0.212 0.846 0.915
Si 0.712 0.346 0.915
Si 0.212 0.346 0.585
Si 0.712 0.846 0.585
Si 0.793 0.346 0.585
Si 0.293 0.846 0.585
Si 0.212 0.154 0.085
Si 0.712 0.654 0.085
Si 0.793 0.154 0.085
Si 0.293 0.654 0.085
Si 0.697 0.648 0.566
Si 0.197 0.148 0.566
Si 0.308 0.648 0.566
Si 0.808 0.148 0.566
Si 0.697 0.852 0.066
Si 0.197 0.352 0.066
Si 0.308 0.852 0.066
Si 0.808 0.352 0.066
Si 0.308 0.352 0.434
Si 0.808 0.852 0.434
Si 0.697 0.352 0.434
Si 0.197 0.852 0.434
Si 0.308 0.148 0.934
Si 0.808 0.648 0.934
Si 0.697 0.148 0.934
Si 0.197 0.648 0.934
Si 0.717 0.764 0.333
Si 0.217 0.264 0.333
Si 0.289 0.764 0.333
Si 0.789 0.264 0.333
Si 0.717 0.736 0.833
Si 0.217 0.236 0.833
Si 0.289 0.736 0.833
Si 0.789 0.236 0.833
Si 0.289 0.236 0.667
Si 0.789 0.736 0.667
Si 0.717 0.236 0.667
Si 0.217 0.736 0.667
Si 0.289 0.264 0.167
Si 0.789 0.764 0.167
Si 0.717 0.264 0.167
Si 0.217 0.764 0.167
Si 0.503 0.712 0.533
Si 0.003 0.212 0.533
Si 0.503 0.788 0.033
Si 0.003 0.288 0.033
Si 0.503 0.288 0.467
Si 0.003 0.788 0.467
Si 0.503 0.212 0.967
Si 0.003 0.712 0.967
Si 0.503 0.744 0.373
Si 0.003 0.244 0.373
Si 0.503 0.756 0.873
Si 0.003 0.256 0.873
Si 0.503 0.256 0.627
Si 0.003 0.756 0.627
Si 0.503 0.244 0.127
Si 0.003 0.744 0.127
Si 0.503 0.640 0.284
Si 0.003 0.140 0.284
Si 0.503 0.860 0.784
Si 0.003 0.360 0.784
Si 0.503 0.360 0.716
Si 0.003 0.860 0.716
Si 0.503 0.140 0.216
Si 0.003 0.640 0.216
Si 0.003 0.684 0.372
Si 0.503 0.184 0.372
Si 0.003 0.816 0.872
Si 0.503 0.316 0.872
Si 0.003 0.316 0.628
Si 0.503 0.816 0.628
Si 0.003 0.184 0.128
Si 0.503 0.684 0.128
O 0.647 0.500 0.500
O 0.147 0.000 0.500
O 0.359 0.500 0.500
O 0.859 0.000 0.500
O 0.647 0.000 0.000
O 0.147 0.500 0.000
O 0.359 0.000 0.000
O 0.859 0.500 0.000
O 0.503 0.455 0.424
O 0.003 0.955 0.424
O 0.503 0.045 0.924
O 0.003 0.545 0.924
O 0.503 0.545 0.576
O 0.003 0.045 0.576
O 0.503 0.955 0.076
O 0.003 0.455 0.076
O 0.638 0.512 0.356
O 0.138 0.012 0.356
O 0.367 0.512 0.356
O 0.867 0.012 0.356
O 0.638 0.988 0.856
O 0.138 0.488 0.856
O 0.367 0.988 0.856
O 0.867 0.488 0.856
O 0.367 0.488 0.644
O 0.867 0.988 0.644
O 0.638 0.488 0.644
O 0.138 0.988 0.644
O 0.367 0.012 0.144
O 0.867 0.512 0.144
O 0.638 0.012 0.144
O 0.138 0.512 0.144
O 0.681 0.416 0.411
O 0.181 0.916 0.411
O 0.325 0.416 0.411
O 0.825 0.916 0.411
O 0.681 0.084 0.911
O 0.181 0.584 0.911
O 0.325 0.084 0.911
O 0.825 0.584 0.911
O 0.325 0.584 0.589
O 0.825 0.084 0.589
O 0.681 0.584 0.589
O 0.181 0.084 0.589
O 0.325 0.916 0.089
O 0.825 0.416 0.089
O 0.681 0.916 0.089
O 0.181 0.416 0.089
O 0.753 0.545 0.250
O 0.253 0.045 0.250
O 0.253 0.545 0.250
O 0.753 0.045 0.250
O 0.753 0.955 0.750
O 0.253 0.455 0.750
O 0.253 0.955 0.750
O 0.753 0.455 0.750
O 0.743 0.602 0.376
O 0.243 0.102 0.376
O 0.263 0.602 0.376
O 0.763 0.102 0.376
O 0.743 0.898 0.876
O 0.243 0.398 0.876
O 0.263 0.898 0.876
O 0.763 0.398 0.876
O 0.263 0.398 0.624
O 0.763 0.898 0.624
O 0.743 0.398 0.624
O 0.243 0.898 0.624
O 0.263 0.102 0.124
O 0.763 0.602 0.124
O 0.743 0.102 0.124
O 0.243 0.602 0.124
O 0.598 0.602 0.281
O 0.098 0.102 0.281
O 0.407 0.602 0.281
O 0.907 0.102 0.281
O 0.598 0.898 0.781
O 0.098 0.398 0.781
O 0.407 0.898 0.781
O 0.907 0.398 0.781
O 0.407 0.398 0.719
O 0.907 0.898 0.719
O 0.598 0.398 0.719
O 0.098 0.898 0.719
O 0.407 0.102 0.219
O 0.907 0.602 0.219
O 0.598 0.102 0.219
O 0.098 0.602 0.219
O 0.778 0.652 0.502
O 0.278 0.152 0.502
O 0.228 0.652 0.502
O 0.728 0.152 0.502
O 0.778 0.848 0.002
O 0.278 0.348 0.002
O 0.228 0.848 0.002
O 0.728 0.348 0.002
O 0.228 0.348 0.498
O 0.728 0.848 0.498
O 0.778 0.348 0.498
O 0.278 0.848 0.498
O 0.228 0.152 0.998
O 0.728 0.652 0.998
O 0.778 0.152 0.998
O 0.278 0.652 0.998
O 0.748 0.711 0.383
O 0.248 0.211 0.383
O 0.258 0.711 0.383
O 0.758 0.211 0.383
O 0.748 0.789 0.883
O 0.248 0.289 0.883
O 0.258 0.789 0.883
O 0.758 0.289 0.883
O 0.258 0.289 0.617
O 0.758 0.789 0.617
O 0.748 0.289 0.617
O 0.248 0.789 0.617
O 0.258 0.211 0.117
O 0.758 0.711 0.117
O 0.748 0.211 0.117
O 0.248 0.711 0.117
O 0.909 0.652 0.402
O 0.409 0.152 0.402
O 0.097 0.652 0.402
O 0.597 0.152 0.402
O 0.909 0.848 0.902
O 0.409 0.348 0.902
O 0.097 0.848 0.902
O 0.597 0.348 0.902
O 0.097 0.348 0.598
O 0.597 0.848 0.598
O 0.909 0.348 0.598
O 0.409 0.848 0.598
O 0.097 0.152 0.098
O 0.597 0.652 0.098
O 0.909 0.152 0.098
O 0.409 0.652 0.098
O 0.736 0.681 0.638
O 0.236 0.181 0.638
O 0.270 0.681 0.638
O 0.770 0.181 0.638
O 0.736 0.819 0.138
O 0.236 0.319 0.138
O 0.270 0.819 0.138
O 0.770 0.319 0.138
O 0.270 0.319 0.362
O 0.770 0.819 0.362
O 0.736 0.319 0.362
O 0.236 0.819 0.362
O 0.270 0.181 0.862
O 0.770 0.681 0.862
O 0.736 0.181 0.862
O 0.236 0.681 0.862
O 0.597 0.673 0.535
O 0.097 0.173 0.535
O 0.408 0.673 0.535
O 0.908 0.173 0.535
O 0.597 0.827 0.035
O 0.097 0.327 0.035
O 0.408 0.827 0.035
O 0.908 0.327 0.035
O 0.408 0.327 0.465
O 0.908 0.827 0.465
O 0.597 0.327 0.465
O 0.097 0.827 0.465
O 0.408 0.173 0.965
O 0.908 0.673 0.965
O 0.597 0.173 0.965
O 0.097 0.673 0.965
O 0.753 0.753 0.250
O 0.253 0.253 0.250
O 0.253 0.753 0.250
O 0.753 0.253 0.250
O 0.753 0.747 0.750
O 0.253 0.247 0.750
O 0.253 0.747 0.750
O 0.753 0.247 0.750
O 0.599 0.771 0.337
O 0.099 0.271 0.337
O 0.406 0.771 0.337
O 0.906 0.271 0.337
O 0.599 0.729 0.837
O 0.099 0.229 0.837
O 0.406 0.729 0.837
O 0.906 0.229 0.837
O 0.406 0.229 0.663
O 0.906 0.729 0.663
O 0.599 0.229 0.663
O 0.099 0.729 0.663
O 0.406 0.271 0.163
O 0.906 0.771 0.163
O 0.599 0.271 0.163
O 0.099 0.771 0.163
O 0.503 0.751 0.461
O 0.003 0.251 0.461
O 0.503 0.749 0.961
O 0.003 0.249 0.961
O 0.503 0.249 0.539
O 0.003 0.749 0.539
O 0.503 0.251 0.039
O 0.003 0.751 0.039
O 0.503 0.752 0.604
O 0.003 0.252 0.604
O 0.503 0.748 0.104
O 0.003 0.248 0.104
O 0.503 0.248 0.396
O 0.003 0.748 0.396
O 0.503 0.252 0.896
O 0.003 0.752 0.896
O 0.503 0.677 0.358
O 0.003 0.177 0.358
O 0.503 0.823 0.858
O 0.003 0.323 0.858
O 0.503 0.323 0.642
O 0.003 0.823 0.642
O 0.503 0.177 0.142
O 0.003 0.677 0.142
O 0.503 0.683 0.217
O 0.003 0.183 0.217
O 0.503 0.817 0.717
O 0.003 0.317 0.717
O 0.503 0.317 0.783
O 0.003 0.817 0.783
O 0.503 0.183 0.283
O 0.003 0.683 0.283

## Properties
calculated total energy	-7.904	eV per atom


[3]
# SnPb3

SnPb3 after structural relaxation (PBE-GGA, the Materials Project).

Cell: 6.997 6.997 5.790 Å, 90.00 90.00 120.00°
Sites, in units of the cell vectors:
Sn 0.333 0.667 0.250
Sn 0.667 0.333 0.750
Pb 0.169 0.339 0.750
Pb 0.169 0.831 0.750
Pb 0.339 0.169 0.250
Pb 0.661 0.831 0.750
Pb 0.831 0.169 0.250
Pb 0.831 0.661 0.250

## Properties
space-group type	No. 194
calculated total energy	-3.749	eV per atom


Question: Which of these has the lowest calculated total energy?
Answer: SiO2